The following is a DFT calculation (GGA-PBE) of a geometry-optimized Nd2H12C7N2O17 structure.

Values from the calculation:
Calculated volume ... 10.58 Å³/atom
E ... -538.5 eV/cell
Space group ... No. 2
Energy of formation from the pure elements ... -1.6319 eV per atom

Lattice parameters (Å, degrees): 8.883 9.744 10.334 73.67 87.00 80.40
Fractional positions:
Nd1 0.148 0.094 0.088
Nd2 0.300 0.688 0.684
Nd3 0.700 0.312 0.316
Nd4 0.852 0.906 0.912
H1 0.073 0.460 0.373
H2 0.123 0.180 0.696
H3 0.146 0.549 0.450
H4 0.185 0.672 0.153
H5 0.209 0.292 0.571
H6 0.262 0.109 0.606
H7 0.304 0.198 0.717
H8 0.334 0.624 0.059
H9 0.341 0.556 0.225
H10 0.350 0.736 0.158
H11 0.353 0.328 0.347
H12 0.367 0.323 0.196
H13 0.633 0.677 0.804
H14 0.647 0.672 0.653
H15 0.650 0.264 0.842
H16 0.659 0.444 0.775
H17 0.666 0.376 0.941
H18 0.696 0.802 0.283
H19 0.738 0.891 0.394
H20 0.791 0.708 0.429
H21 0.815 0.328 0.847
H22 0.854 0.451 0.550
H23 0.877 0.820 0.304
H24 0.927 0.540 0.627
C1 0.115 0.417 0.856
C2 0.143 0.850 0.388
C3 0.183 0.861 0.864
C4 0.219 0.971 0.417
C5 0.236 0.423 0.958
C6 0.483 0.429 0.552
C7 0.491 0.064 0.935
C8 0.509 0.936 0.065
C9 0.517 0.571 0.448
C10 0.764 0.577 0.042
C11 0.781 0.029 0.583
C12 0.817 0.139 0.136
C13 0.857 0.150 0.612
C14 0.885 0.583 0.144
N1 0.226 0.195 0.648
N2 0.303 0.648 0.149
N3 0.697 0.352 0.851
N4 0.774 0.805 0.352
O1 0.041 0.311 0.892
O2 0.088 0.875 0.271
O3 0.089 0.808 0.805
O4 0.099 0.517 0.747
O5 0.121 0.935 0.947
O6 0.136 0.735 0.484
O7 0.163 0.456 0.427
O8 0.226 0.083 0.321
O9 0.243 0.327 0.071
O10 0.265 0.947 0.538
O11 0.314 0.524 0.923
O12 0.326 0.838 0.841
O13 0.360 0.140 0.912
O14 0.390 0.916 0.137
O15 0.407 0.444 0.656
O16 0.421 0.342 0.269
O17 0.466 0.689 0.475
O18 0.534 0.311 0.525
O19 0.579 0.658 0.731
O20 0.593 0.556 0.344
O21 0.610 0.084 0.863
O22 0.640 0.860 0.088
O23 0.674 0.162 0.159
O24 0.686 0.476 0.077
O25 0.735 0.053 0.462
O26 0.757 0.673 0.929
O27 0.774 0.917 0.679
O28 0.837 0.544 0.573
O29 0.864 0.265 0.516
O30 0.879 0.065 0.053
O31 0.901 0.483 0.253
O32 0.911 0.192 0.195
O33 0.912 0.125 0.729
O34 0.959 0.689 0.108

=====

The following is a DFT calculation (GGA-PBE) of a geometry-optimized TiSiO4 structure.

Values from the calculation:
Calculated volume ... 9.09 Å³/atom
E ... -98.8 eV/cell
Space group ... No. 88
Energy of formation from the pure elements ... -3.1705 eV per atom

Lattice parameters (Å, degrees): 6.096 6.096 6.096 135.67 135.67 64.49
Fractional positions:
Ti1 0.375 0.125 0.250
Ti2 0.625 0.875 0.750
Si1 0.125 0.375 0.750
Si2 0.875 0.625 0.250
O1 0.024 0.717 0.837
O2 0.217 0.880 0.693
O3 0.314 0.476 0.193
O4 0.380 0.186 0.663
O5 0.620 0.814 0.337
O6 0.686 0.524 0.807
O7 0.783 0.120 0.307
O8 0.976 0.283 0.163

=====

The following is a DFT calculation (GGA-PBE) of a geometry-optimized MgTlPH12O10 structure.

Values from the calculation:
Largest piezoelectric modulus ... 0.65 C/m²
Calculated volume ... 9.65 Å³/atom
E ... -268.3 eV/cell
Space group ... No. 31
Energy of formation from the pure elements ... -1.6575 eV per atom

Lattice parameters (Å, degrees): 6.909 6.143 11.366 90.00 90.00 90.00
Fractional positions:
Mg1 0.000 0.117 0.000
Mg2 0.500 0.883 0.500
Tl1 0.000 0.128 0.645
Tl2 0.500 0.872 0.145
P1 0.000 0.514 0.366
P2 0.500 0.486 0.866
H1 0.000 0.668 0.036
H2 0.000 0.772 0.167
H3 0.118 0.493 0.877
H4 0.176 0.673 0.567
H5 0.176 0.896 0.355
H6 0.205 0.300 0.188
H7 0.249 0.144 0.367
H8 0.251 0.856 0.867
H9 0.295 0.700 0.688
H10 0.324 0.104 0.855
H11 0.324 0.327 0.067
H12 0.382 0.507 0.377
H13 0.500 0.228 0.667
H14 0.500 0.332 0.536
H15 0.618 0.507 0.377
H16 0.676 0.104 0.855
H17 0.676 0.327 0.067
H18 0.705 0.700 0.688
H19 0.749 0.856 0.867
H20 0.751 0.144 0.367
H21 0.795 0.300 0.188
H22 0.824 0.673 0.567
H23 0.824 0.896 0.355
H24 0.882 0.493 0.877
O1 0.000 0.434 0.919
O2 0.000 0.534 0.502
O3 0.000 0.746 0.309
O4 0.000 0.806 0.080
O5 0.185 0.392 0.323
O6 0.211 0.011 0.882
O7 0.227 0.232 0.109
O8 0.273 0.768 0.609
O9 0.289 0.989 0.382
O10 0.315 0.608 0.823
O11 0.500 0.194 0.580
O12 0.500 0.254 0.809
O13 0.500 0.466 0.002
O14 0.500 0.566 0.419
O15 0.685 0.608 0.823
O16 0.711 0.989 0.382
O17 0.727 0.768 0.609
O18 0.773 0.232 0.109
O19 0.789 0.011 0.882
O20 0.815 0.392 0.323

=====

The following is a DFT calculation (GGA-PBE) of a geometry-optimized Ba2ScPaO6 structure.

Values from the calculation:
Calculated volume ... 16.09 Å³/atom
E ... -82.9 eV/cell
Space group ... No. 225
Energy of formation from the pure elements ... -3.7654 eV per atom

Lattice parameters (Å, degrees): 6.104 6.104 6.104 60.00 60.00 60.00
Fractional positions:
Ba1 0.250 0.250 0.250
Ba2 0.750 0.750 0.750
Sc1 0.000 0.000 0.000
Pa1 0.500 0.500 0.500
O1 0.247 0.247 0.753
O2 0.247 0.753 0.247
O3 0.247 0.753 0.753
O4 0.753 0.247 0.247
O5 0.753 0.247 0.753
O6 0.753 0.753 0.247

=====

The following is a DFT calculation (GGA-PBE) of a geometry-optimized CsEr6CI12 structure.

Values from the calculation:
Calculated volume ... 38.46 Å³/atom
E ... -80.8 eV/cell
Energy above the most stable polymorph in this dataset ... 0.000 eV/atom
Space group ... No. 148
Energy of formation from the pure elements ... -1.4779 eV per atom

Lattice parameters (Å, degrees): 9.532 9.532 9.532 72.76 72.76 72.76
Fractional positions:
Cs1 0.000 0.000 0.000
Er1 0.235 0.588 0.471
Er2 0.412 0.529 0.765
Er3 0.471 0.235 0.588
Er4 0.529 0.765 0.412
Er5 0.588 0.471 0.235
Er6 0.765 0.412 0.529
C1 0.500 0.500 0.500
I1 0.080 0.645 0.781
I2 0.140 0.288 0.569
I3 0.219 0.920 0.355
I4 0.288 0.569 0.140
I5 0.355 0.219 0.920
I6 0.431 0.860 0.712
I7 0.569 0.140 0.288
I8 0.645 0.781 0.080
I9 0.712 0.431 0.860
I10 0.781 0.080 0.645
I11 0.860 0.712 0.431
I12 0.920 0.355 0.219

=====

The following is a DFT calculation (GGA-PBE) of a geometry-optimized PmCd3 structure.

Values from the calculation:
Calculated volume ... 24.99 Å³/atom
E ... -17.5 eV/cell
Space group ... No. 194
Energy of formation from the pure elements ... -0.3016 eV per atom

Lattice parameters (Å, degrees): 6.759 6.759 5.053 90.00 90.00 120.00
Fractional positions:
Pm1 0.333 0.667 0.250
Pm2 0.667 0.333 0.750
Cd1 0.161 0.323 0.750
Cd2 0.161 0.839 0.750
Cd3 0.323 0.161 0.250
Cd4 0.677 0.839 0.750
Cd5 0.839 0.161 0.250
Cd6 0.839 0.677 0.250

=====

The following is a DFT calculation (GGA-PBE) of a geometry-optimized BaTbEuSnO6 structure.

Values from the calculation:
Calculated volume ... 15.43 Å³/atom
E ... -306.1 eV/cell
Energy above the most stable polymorph in this dataset ... 0.000 eV/atom
Space group ... No. 48
Energy of formation from the pure elements ... -3.0139 eV per atom

Lattice parameters (Å, degrees): 8.486 8.520 8.533 90.00 90.00 90.00
Fractional positions:
Ba1 0.250 0.250 0.250
Ba2 0.250 0.750 0.750
Ba3 0.750 0.250 0.250
Ba4 0.750 0.750 0.750
Tb1 0.000 0.000 0.000
Tb2 0.000 0.500 0.500
Tb3 0.500 0.000 0.500
Tb4 0.500 0.500 0.000
Eu1 0.250 0.250 0.750
Eu2 0.250 0.750 0.250
Eu3 0.750 0.250 0.750
Eu4 0.750 0.750 0.250
Sn1 0.000 0.000 0.500
Sn2 0.000 0.500 0.000
Sn3 0.500 0.000 0.000
Sn4 0.500 0.500 0.500
O1 0.034 0.241 0.477
O2 0.034 0.259 0.023
O3 0.059 0.036 0.741
O4 0.059 0.464 0.759
O5 0.241 0.547 0.056
O6 0.241 0.953 0.444
O7 0.259 0.547 0.444
O8 0.259 0.953 0.056
O9 0.441 0.036 0.759
O10 0.441 0.464 0.741
O11 0.466 0.241 0.023
O12 0.466 0.259 0.477
O13 0.534 0.741 0.523
O14 0.534 0.759 0.977
O15 0.559 0.536 0.259
O16 0.559 0.964 0.241
O17 0.741 0.047 0.944
O18 0.741 0.453 0.556
O19 0.759 0.047 0.556
O20 0.759 0.453 0.944
O21 0.941 0.536 0.241
O22 0.941 0.964 0.259
O23 0.966 0.741 0.977
O24 0.966 0.759 0.523

=====

The following is a DFT calculation (GGA-PBE) of a geometry-optimized NdF3 structure.

Values from the calculation:
Calculated volume ... 12.93 Å³/atom
E ... -156.6 eV/cell
Space group ... No. 193
Energy of formation from the pure elements ... -4.2431 eV per atom

Lattice parameters (Å, degrees): 7.111 7.111 7.086 90.00 90.00 120.00
Fractional positions:
Nd1 0.000 0.331 0.250
Nd2 0.000 0.669 0.750
Nd3 0.331 0.000 0.250
Nd4 0.331 0.331 0.750
Nd5 0.669 0.000 0.750
Nd6 0.669 0.669 0.250
F1 0.000 0.000 0.000
F2 0.000 0.000 0.500
F3 0.000 0.344 0.584
F4 0.000 0.344 0.916
F5 0.000 0.656 0.084
F6 0.000 0.656 0.416
F7 0.333 0.667 0.250
F8 0.333 0.667 0.750
F9 0.344 0.000 0.584
F10 0.344 0.000 0.916
F11 0.344 0.344 0.084
F12 0.344 0.344 0.416
F13 0.656 0.000 0.084
F14 0.656 0.000 0.416
F15 0.656 0.656 0.584
F16 0.656 0.656 0.916
F17 0.667 0.333 0.250
F18 0.667 0.333 0.750

=====

The following is a DFT calculation (GGA-PBE) of a geometry-optimized PrTa7O19 structure.

Values from the calculation:
Calculated volume ... 12.82 Å³/atom
E ... -522.2 eV/cell
Space group ... No. 188
Energy of formation from the pure elements ... -3.4198 eV per atom

Lattice parameters (Å, degrees): 6.297 6.297 20.155 90.00 90.00 120.00
Fractional positions:
Pr1 0.000 0.000 0.000
Pr2 0.000 0.000 0.500
Ta1 0.335 0.025 0.156
Ta2 0.335 0.025 0.344
Ta3 0.335 0.310 0.656
Ta4 0.335 0.310 0.844
Ta5 0.667 0.333 0.000
Ta6 0.667 0.333 0.500
Ta7 0.690 0.025 0.656
Ta8 0.690 0.025 0.844
Ta9 0.690 0.665 0.156
Ta10 0.690 0.665 0.344
Ta11 0.975 0.310 0.156
Ta12 0.975 0.310 0.344
Ta13 0.975 0.665 0.656
Ta14 0.975 0.665 0.844
O1 0.000 0.000 0.132
O2 0.000 0.000 0.368
O3 0.000 0.000 0.632
O4 0.000 0.000 0.868
O5 0.090 0.423 0.654
O6 0.090 0.423 0.846
O7 0.090 0.667 0.154
O8 0.090 0.667 0.346
O9 0.293 0.042 0.250
O10 0.293 0.251 0.750
O11 0.333 0.423 0.154
O12 0.333 0.423 0.346
O13 0.333 0.910 0.654
O14 0.333 0.910 0.846
O15 0.387 0.097 0.057
O16 0.387 0.097 0.443
O17 0.387 0.290 0.557
O18 0.387 0.290 0.943
O19 0.577 0.667 0.654
O20 0.577 0.667 0.846
O21 0.577 0.910 0.154
O22 0.577 0.910 0.346
O23 0.667 0.333 0.166
O24 0.667 0.333 0.334
O25 0.667 0.333 0.666
O26 0.667 0.333 0.834
O27 0.710 0.097 0.557
O28 0.710 0.097 0.943
O29 0.710 0.613 0.057
O30 0.710 0.613 0.443
O31 0.749 0.042 0.750
O32 0.749 0.707 0.250
O33 0.903 0.290 0.057
O34 0.903 0.290 0.443
O35 0.903 0.613 0.557
O36 0.903 0.613 0.943
O37 0.958 0.251 0.250
O38 0.958 0.707 0.750

=====

The following is a DFT calculation (GGA-PBE) of a geometry-optimized Zn4Si2O9 structure.

Values from the calculation:
Calculated volume ... 15.87 Å³/atom
E ... -86.3 eV/cell
Space group ... No. 44
Energy of formation from the pure elements ... -2.1373 eV per atom

Lattice parameters (Å, degrees): 7.360 7.360 7.360 110.39 84.28 138.70
Fractional positions:
Zn1 0.160 0.206 0.366
Zn2 0.160 0.794 0.953
Zn3 0.840 0.206 0.047
Zn4 0.840 0.794 0.634
Si1 0.343 0.489 0.854
Si2 0.635 0.489 0.146
O1 0.156 0.199 0.633
O2 0.156 0.522 0.956
O3 0.406 0.406 0.000
O4 0.566 0.199 0.044
O5 0.566 0.522 0.367
O6 0.636 0.802 0.834
O7 0.951 0.251 0.299
O8 0.951 0.652 0.701
O9 0.967 0.802 0.166

=====

The following is a DFT calculation (GGA-PBE) of a geometry-optimized RbNa2C structure.

Values from the calculation:
Calculated volume ... 31.39 Å³/atom
E ... -30.1 eV/cell
Space group ... No. 205
Energy of formation from the pure elements ... 1.3292 eV per atom

Lattice parameters (Å, degrees): 7.949 7.949 7.949 90.00 90.00 90.00
Fractional positions:
Rb1 0.000 0.000 0.000
Rb2 0.000 0.500 0.500
Rb3 0.500 0.000 0.500
Rb4 0.500 0.500 0.000
Na1 0.239 0.739 0.761
Na2 0.239 0.761 0.261
Na3 0.261 0.239 0.761
Na4 0.261 0.261 0.261
Na5 0.739 0.739 0.739
Na6 0.739 0.761 0.239
Na7 0.761 0.239 0.739
Na8 0.761 0.261 0.239
C1 0.000 0.000 0.500
C2 0.000 0.500 0.000
C3 0.500 0.000 0.000
C4 0.500 0.500 0.500

=====

The following is a DFT calculation (GGA-PBE) of a geometry-optimized LiGaSi2O6 structure.

Values from the calculation:
Calculated volume ... 10.58 Å³/atom
E ... -140.5 eV/cell
Space group ... No. 15
Energy of formation from the pure elements ... -2.8889 eV per atom

Lattice parameters (Å, degrees): 6.532 6.532 5.340 105.36 105.36 83.62
Fractional positions:
Li1 0.242 0.758 0.750
Li2 0.758 0.242 0.250
Ga1 0.399 0.601 0.250
Ga2 0.601 0.399 0.750
Si1 0.113 0.294 0.738
Si2 0.294 0.113 0.238
Si3 0.706 0.887 0.762
Si4 0.887 0.706 0.262
O1 0.127 0.608 0.329
O2 0.144 0.145 0.449
O3 0.145 0.144 0.949
O4 0.302 0.470 0.856
O5 0.392 0.873 0.171
O6 0.470 0.302 0.356
O7 0.530 0.698 0.644
O8 0.608 0.127 0.829
O9 0.698 0.530 0.144
O10 0.855 0.856 0.051
O11 0.856 0.855 0.551
O12 0.873 0.392 0.671